Below is Ce2InNi2 after structural relaxation, with properties calculated at the PBE level.

```
Ce2InNi2
1.0
-3.682 -6.030 -2.607
3.898 -4.411 4.697
-2.569 0.460 2.564
Ce In Ni
4 2 4
Direct
0.674 0.174 0.500
0.174 0.326 0.500
0.826 0.674 0.500
0.326 0.826 0.500
0.000 0.000 0.000
0.500 0.500 0.000
0.875 0.375 0.000
0.625 0.875 0.000
0.125 0.625 0.000
0.375 0.125 0.000
```

Calculated values
Energy of formation from the pure elements in meV per atom: -466

***

Below is LaFeNi8Ge4 after structural relaxation, with properties calculated at the PBE level.

```
LaFeNi8Ge4
1.0
0.000 5.632 5.873
5.593 0.000 5.873
5.593 5.632 0.000
La Fe Ni Ge
2 2 16 8
Direct
0.247 0.247 0.253
0.747 0.747 0.753
0.802 0.558 0.198
0.558 0.802 0.442
0.070 0.931 0.297
0.931 0.070 0.703
0.569 0.432 0.203
0.432 0.569 0.795
0.797 0.205 0.431
0.205 0.797 0.568
0.703 0.297 0.930
0.297 0.703 0.069
0.002 0.002 0.998
0.500 0.500 0.500
0.307 0.056 0.944
0.056 0.307 0.693
0.192 0.445 0.808
0.445 0.192 0.555
0.695 0.946 0.054
0.946 0.695 0.305
0.296 0.948 0.704
0.948 0.296 0.052
0.795 0.452 0.548
0.452 0.795 0.205
0.705 0.048 0.295
0.048 0.705 0.952
0.206 0.550 0.450
0.550 0.206 0.794
```

Calculated values
Energy of formation from the pure elements in meV per atom: -393

***

Below is NbC2NCl8 after structural relaxation, with properties calculated at the PBE level.

```
NbC2NCl8
1.0
-1.961 -4.063 4.197
-0.978 -3.471 -4.997
15.521 -6.189 1.262
Nb C N Cl
2 4 2 16
Direct
0.595 0.405 0.374
0.405 0.595 0.874
0.934 0.066 0.144
0.066 0.934 0.644
0.845 0.155 0.216
0.155 0.845 0.716
0.772 0.228 0.272
0.228 0.772 0.772
0.070 0.291 0.089
0.930 0.709 0.589
0.709 0.930 0.089
0.291 0.070 0.589
0.444 0.556 0.260
0.556 0.444 0.760
0.118 0.882 0.172
0.882 0.118 0.672
0.419 0.581 0.470
0.581 0.419 0.970
0.331 0.096 0.362
0.669 0.904 0.862
0.904 0.669 0.362
0.096 0.331 0.862
0.796 0.204 0.460
0.204 0.796 0.960
```

Calculated values
Energy of formation from the pure elements in meV per atom: -959
MP2020-corrected energy in eV/atom: -5.2661

***

Below is Na2Ta6In2Si7S5O48 after structural relaxation, with properties calculated at the PBE level.

```
Na2Ta6In2Si7S5O48
1.0
-6.463 8.672 -14.099
-5.541 -4.039 5.674
-1.310 19.332 12.483
Na Ta In Si S O
6 18 6 21 15 144
Direct
0.998 0.001 0.497
0.498 0.003 0.993
0.335 0.326 0.832
0.826 0.332 0.833
0.327 0.322 0.338
0.834 0.345 0.338
0.501 0.994 0.359
0.001 0.005 0.856
0.500 0.004 0.643
0.999 0.996 0.144
0.326 0.335 0.689
0.832 0.313 0.687
0.329 0.342 0.190
0.827 0.316 0.190
0.327 0.330 0.973
0.832 0.322 0.475
0.170 0.671 0.021
0.675 0.672 0.020
0.169 0.670 0.524
0.673 0.670 0.522
0.168 0.685 0.312
0.679 0.677 0.310
0.178 0.680 0.808
0.666 0.648 0.810
0.000 0.981 0.355
0.500 0.019 0.854
0.995 0.016 0.649
0.497 0.988 0.153
0.834 0.332 0.980
0.332 0.333 0.480
0.142 0.001 0.250
0.640 0.992 0.251
0.354 0.715 0.252
0.858 0.710 0.248
0.142 0.288 0.751
0.645 0.281 0.750
0.359 0.009 0.748
0.854 0.996 0.752
0.978 0.333 0.581
0.688 0.044 0.582
0.335 0.623 0.581
0.834 0.047 0.081
0.189 0.333 0.083
0.314 0.675 0.916
0.812 0.662 0.915
0.525 0.383 0.919
0.163 0.945 0.916
0.311 0.960 0.418
0.814 0.955 0.417
0.665 0.381 0.417
0.024 0.667 0.419
0.001 0.290 0.249
0.500 0.292 0.251
0.000 0.711 0.751
0.500 0.710 0.749
0.479 0.335 0.584
0.186 0.040 0.584
0.834 0.618 0.582
0.477 0.618 0.081
0.979 0.623 0.084
0.335 0.048 0.082
0.685 0.331 0.084
0.026 0.383 0.915
0.666 0.949 0.916
0.166 0.384 0.416
0.526 0.666 0.416
0.113 0.060 0.307
0.597 0.034 0.307
0.420 0.809 0.306
0.911 0.773 0.307
0.482 0.176 0.302
0.978 0.184 0.301
0.099 0.164 0.808
0.614 0.168 0.808
0.478 0.771 0.802
0.985 0.796 0.803
0.409 0.047 0.808
0.920 0.032 0.807
0.404 0.973 0.693
0.885 0.945 0.694
0.093 0.216 0.692
0.583 0.188 0.694
0.018 0.813 0.698
0.513 0.818 0.697
0.385 0.819 0.192
0.904 0.834 0.192
0.012 0.206 0.197
0.518 0.227 0.197
0.083 0.976 0.193
0.594 0.967 0.190
0.436 0.361 0.635
0.931 0.364 0.640
0.243 0.129 0.636
0.751 0.134 0.639
0.320 0.495 0.638
0.818 0.512 0.635
0.437 0.513 0.135
0.936 0.512 0.135
0.322 0.129 0.135
0.819 0.144 0.138
0.254 0.368 0.139
0.741 0.357 0.136
0.239 0.306 0.028
0.723 0.302 0.031
0.420 0.527 0.031
0.927 0.558 0.031
0.345 0.154 0.030
0.854 0.163 0.025
0.224 0.145 0.532
0.735 0.169 0.527
0.356 0.544 0.525
0.843 0.535 0.529
0.427 0.297 0.531
0.913 0.313 0.527
0.260 0.690 0.973
0.766 0.692 0.974
0.077 0.463 0.970
0.585 0.490 0.975
0.151 0.829 0.975
0.660 0.846 0.971
0.265 0.839 0.474
0.760 0.830 0.473
0.159 0.470 0.470
0.650 0.473 0.474
0.087 0.683 0.473
0.576 0.691 0.469
0.068 0.633 0.360
0.568 0.645 0.364
0.249 0.861 0.360
0.753 0.861 0.360
0.176 0.490 0.364
0.678 0.502 0.360
0.068 0.491 0.864
0.567 0.503 0.861
0.179 0.855 0.861
0.676 0.864 0.865
0.252 0.642 0.860
0.747 0.635 0.861
0.019 0.840 0.420
0.519 0.828 0.410
0.404 0.973 0.403
0.909 0.983 0.415
0.088 0.214 0.414
0.581 0.191 0.404
0.019 0.210 0.910
0.518 0.198 0.920
0.081 0.971 0.906
0.587 0.960 0.916
0.410 0.835 0.915
0.905 0.837 0.904
0.491 0.183 0.593
0.985 0.160 0.581
0.099 0.011 0.592
0.594 0.022 0.596
0.418 0.811 0.598
0.911 0.791 0.587
0.484 0.790 0.084
0.991 0.800 0.093
0.411 0.027 0.086
0.916 0.021 0.097
0.095 0.167 0.096
0.597 0.183 0.091
0.344 0.172 0.733
0.848 0.176 0.745
0.243 0.316 0.744
0.745 0.327 0.736
0.423 0.528 0.738
0.921 0.537 0.746
0.349 0.520 0.242
0.844 0.516 0.232
0.421 0.309 0.242
0.923 0.317 0.238
0.243 0.163 0.235
0.741 0.168 0.244
0.316 0.493 0.926
0.821 0.491 0.921
0.428 0.364 0.930
0.938 0.361 0.920
0.251 0.137 0.926
0.745 0.122 0.920
0.322 0.152 0.420
0.814 0.138 0.423
0.246 0.369 0.419
0.752 0.365 0.426
0.438 0.516 0.419
0.927 0.493 0.426
0.177 0.502 0.071
0.681 0.494 0.077
0.066 0.640 0.076
0.564 0.636 0.074
0.254 0.873 0.075
0.746 0.855 0.073
0.185 0.872 0.579
0.676 0.850 0.570
0.249 0.640 0.573
0.754 0.636 0.575
0.072 0.506 0.571
0.566 0.492 0.577
0.153 0.830 0.258
0.652 0.827 0.265
0.256 0.670 0.267
0.760 0.684 0.256
0.077 0.462 0.255
0.574 0.467 0.262
0.153 0.477 0.766
0.652 0.474 0.759
0.075 0.685 0.764
0.577 0.691 0.757
0.260 0.836 0.756
0.756 0.841 0.768
```

Calculated values
Energy of formation from the pure elements in meV per atom: -2728
MP2020-corrected energy in eV/atom: -8.0914

***

Below is Li2NbOF5 after structural relaxation, with properties calculated at the PBE level.

```
Li2NbOF5
1.0
-0.827 3.912 3.057
0.347 -4.645 1.907
4.582 0.550 0.582
Li Nb O F
2 1 1 5
Direct
0.664 0.342 0.497
0.342 0.664 0.497
0.025 0.025 0.982
0.312 0.312 0.753
0.678 0.678 0.255
0.997 0.674 0.756
0.316 0.993 0.253
0.993 0.316 0.253
0.674 0.997 0.756
```

Calculated values
Energy of formation from the pure elements in meV per atom: -3260
MP2020-corrected energy in eV/atom: -6.4198
Piezoelectric modulus e_max in C/m²: 0.40

***

Below is Na3CuO2 after structural relaxation, with properties calculated at the PBE level.

```
Na3CuO2
1.0
-1.220 -8.514 0.592
4.963 -0.487 3.219
-1.454 0.743 7.684
Na Cu O
12 4 8
Direct
0.969 0.752 0.501
0.526 0.742 0.627
0.710 0.239 0.688
0.026 0.258 0.873
0.210 0.761 0.812
0.469 0.248 0.999
0.531 0.752 0.001
0.790 0.239 0.188
0.974 0.742 0.127
0.290 0.761 0.312
0.474 0.258 0.373
0.031 0.248 0.499
0.321 0.291 0.673
0.821 0.709 0.827
0.179 0.291 0.173
0.679 0.709 0.327
0.182 0.531 0.618
0.459 0.044 0.725
0.682 0.469 0.882
0.959 0.956 0.775
0.041 0.044 0.225
0.318 0.531 0.118
0.541 0.956 0.275
0.818 0.469 0.382
```

Calculated values
Energy above the lowest structure with this stoichiometry in eV per atom: 0.010
Energy of formation from the pure elements in meV per atom: -1350
MP2020-corrected energy in eV/atom: -4.3443